[1]
V3FeCu2P6O24: optimized geometry, PBE+U.

Computed properties:
V, Å³ per atom: 12.4
MP2020-corrected energy, eV per atom: -7.811
Crystal system: trigonal

a = 8.564 Å, b = 8.564 Å, c = 8.564 Å
α = 60.19°, β = 60.19°, γ = 60.19°
Element x y z (fractional)
O: 0.582 0.445 0.233
O: 0.623 0.004 0.806
O: 0.418 0.562 0.765
O: 0.083 0.735 0.943
O: 0.735 0.943 0.083
O: 0.500 0.878 0.690
O: 0.305 0.505 0.123
O: 0.562 0.765 0.418
O: 0.943 0.083 0.735
O: 0.233 0.582 0.445
O: 0.381 0.990 0.197
O: 0.690 0.500 0.878
O: 0.004 0.806 0.623
O: 0.123 0.305 0.505
O: 0.445 0.233 0.582
O: 0.913 0.267 0.053
O: 0.990 0.197 0.381
O: 0.806 0.623 0.004
O: 0.053 0.913 0.267
O: 0.878 0.690 0.500
O: 0.765 0.418 0.562
O: 0.267 0.053 0.913
O: 0.505 0.123 0.305
O: 0.197 0.381 0.990
P: 0.750 0.459 0.040
P: 0.959 0.250 0.540
P: 0.250 0.540 0.959
P: 0.459 0.040 0.750
P: 0.540 0.959 0.250
P: 0.040 0.750 0.459
Cu: 0.001 0.001 0.001
Cu: 0.500 0.500 0.500
V: 0.858 0.858 0.858
V: 0.357 0.357 0.357
V: 0.643 0.643 0.643
Fe: 0.143 0.143 0.143

[2]
Fe2CuS4O22: optimized geometry, PBE+U.

Computed properties:
V, Å³ per atom: 14.7
MP2020-corrected energy, eV per atom: -6.077
Crystal system: monoclinic

a = 4.884 Å, b = 10.476 Å, c = 16.751 Å
α = 90.00°, β = 90.00°, γ = 95.42°
Element x y z (fractional)
O: 0.654 0.142 0.718
O: 0.706 0.187 0.016
O: 0.346 0.858 0.282
O: 0.080 0.645 0.899
O: 0.400 0.915 0.654
O: 0.400 0.415 0.846
O: 0.951 0.937 0.712
O: 0.049 0.063 0.288
O: 0.294 0.313 0.516
O: 0.319 0.367 0.704
O: 0.540 0.130 0.550
O: 0.887 0.275 0.301
O: 0.319 0.867 0.796
O: 0.346 0.358 0.218
O: 0.113 0.225 0.801
O: 0.151 0.103 0.459
O: 0.706 0.687 0.484
O: 0.920 0.355 0.101
O: 0.080 0.145 0.601
O: 0.460 0.870 0.450
O: 0.853 0.471 0.596
O: 0.853 0.971 0.904
O: 0.151 0.603 0.041
O: 0.761 0.422 0.431
O: 0.849 0.397 0.959
O: 0.951 0.437 0.788
O: 0.681 0.133 0.204
O: 0.654 0.642 0.782
O: 0.294 0.813 0.984
O: 0.460 0.370 0.050
O: 0.681 0.633 0.296
O: 0.920 0.855 0.399
O: 0.540 0.630 0.950
O: 0.600 0.085 0.346
O: 0.049 0.563 0.212
O: 0.600 0.585 0.154
O: 0.761 0.922 0.069
O: 0.239 0.578 0.569
O: 0.113 0.725 0.699
O: 0.147 0.029 0.096
O: 0.147 0.529 0.404
O: 0.239 0.078 0.931
O: 0.849 0.897 0.541
O: 0.887 0.775 0.199
S: 0.802 0.638 0.216
S: 0.198 0.862 0.716
S: 0.735 0.324 0.031
S: 0.198 0.362 0.784
S: 0.735 0.824 0.469
S: 0.265 0.176 0.531
S: 0.265 0.676 0.969
S: 0.802 0.138 0.284
Fe: 0.750 0.524 0.876
Fe: 0.250 0.476 0.124
Fe: 0.250 0.976 0.376
Fe: 0.750 0.024 0.624
Cu: 0.000 0.000 0.000
Cu: 0.000 0.500 0.500

[3]
FeCu2S2O8: optimized geometry, PBE+U.

Computed properties:
V, Å³ per atom: 13.3
MP2020-corrected energy, eV per atom: -6.219
Crystal system: monoclinic

a = 6.866 Å, b = 6.527 Å, c = 7.795 Å
α = 90.00°, β = 97.66°, γ = 90.00°
Element x y z (fractional)
Cu: 0.798 0.226 0.288
Cu: 0.702 0.726 0.212
Cu: 0.298 0.274 0.788
Cu: 0.202 0.774 0.712
S: 0.773 0.910 0.615
S: 0.727 0.410 0.885
S: 0.227 0.090 0.385
S: 0.273 0.590 0.115
O: 0.222 0.095 0.190
O: 0.320 0.528 0.678
O: 0.553 0.284 0.935
O: 0.587 0.798 0.536
O: 0.778 0.905 0.810
O: 0.820 0.972 0.178
O: 0.447 0.716 0.065
O: 0.722 0.405 0.690
O: 0.087 0.702 0.036
O: 0.278 0.595 0.310
O: 0.413 0.202 0.464
O: 0.947 0.784 0.565
O: 0.053 0.216 0.435
O: 0.913 0.298 0.964
O: 0.180 0.028 0.822
O: 0.680 0.472 0.322
Fe: 0.000 0.000 0.000
Fe: 0.500 0.500 0.500

[4]
Sr2YFeCu2O7: optimized geometry, PBE+U.

Computed properties:
Distance to the lowest polymorph of the same formula, meV per atom: 57
V, Å³ per atom: 13.0
MP2020-corrected energy, eV per atom: -7.000
Crystal system: orthorhombic

a = 3.759 Å, b = 11.604 Å, c = 3.886 Å
α = 90.00°, β = 90.01°, γ = 90.00°
Element x y z (fractional)
Cu: 0.000 0.352 0.000
Cu: 0.000 0.648 0.000
Fe: 0.000 0.000 0.000
O: 0.000 0.162 0.000
O: 0.000 0.628 0.500
O: 0.000 0.372 0.500
O: 0.000 0.838 0.000
O: 0.000 0.000 0.500
O: 0.500 0.376 0.000
O: 0.500 0.624 0.000
Y: 0.500 0.500 0.500
Sr: 0.500 0.188 0.500
Sr: 0.500 0.812 0.500

[5]
Sr4Y2Fe2Cu4O15: optimized geometry, PBE+U.

Computed properties:
V, Å³ per atom: 12.6
MP2020-corrected energy, eV per atom: -6.993
Crystal system: orthorhombic

a = 11.980 Å, b = 11.966 Å, c = 5.475 Å
α = 76.93°, β = 76.63°, γ = 26.43°
Element x y z (fractional)
O: 0.374 0.789 0.626
O: 0.307 0.307 0.693
O: 0.693 0.693 0.307
O: 0.211 0.626 0.789
O: 0.180 0.180 0.820
O: 0.000 0.000 0.000
O: 0.186 0.186 0.314
O: 0.626 0.211 0.374
O: 0.814 0.814 0.686
O: 0.314 0.314 0.186
O: 0.000 0.000 0.500
O: 0.789 0.374 0.211
O: 0.820 0.820 0.180
O: 0.686 0.686 0.814
O: 0.500 0.500 0.000
Y: 0.000 0.500 0.500
Y: 0.500 0.000 0.000
Sr: 0.667 0.154 0.846
Sr: 0.154 0.667 0.333
Sr: 0.333 0.846 0.154
Sr: 0.846 0.333 0.667
Cu: 0.078 0.572 0.922
Cu: 0.572 0.078 0.428
Cu: 0.922 0.428 0.078
Cu: 0.428 0.922 0.572
Fe: 0.243 0.757 0.757
Fe: 0.757 0.243 0.243

[6]
Sr2Y4Fe2Cu2O13: optimized geometry, PBE+U.

Computed properties:
Distance to the lowest polymorph of the same formula, meV per atom: 5
V, Å³ per atom: 13.2
MP2020-corrected energy, eV per atom: -7.962
Crystal system: triclinic

a = 5.480 Å, b = 10.823 Å, c = 11.870 Å
α = 116.98°, β = 102.91°, γ = 90.08°
Element x y z (fractional)
Y: 0.478 0.042 0.367
Y: 0.607 0.451 0.630
Y: 0.022 0.175 0.633
Y: 0.522 0.958 0.633
Y: 0.978 0.825 0.367
Y: 0.894 0.322 0.371
Y: 0.393 0.549 0.370
Y: 0.106 0.678 0.629
O: 0.897 0.391 0.787
O: 0.200 0.111 0.009
O: 0.845 0.850 0.706
O: 0.606 0.105 0.213
O: 0.749 0.248 0.500
O: 0.394 0.895 0.787
O: 0.250 0.027 0.500
O: 0.648 0.849 0.209
O: 0.155 0.150 0.294
O: 0.750 0.973 0.500
O: 0.699 0.397 0.009
O: 0.147 0.861 0.209
O: 0.436 0.638 0.778
O: 0.352 0.151 0.791
O: 0.251 0.752 0.500
O: 0.347 0.357 0.707
O: 0.063 0.359 0.221
O: 0.250 0.472 0.500
O: 0.800 0.889 0.991
O: 0.564 0.362 0.222
O: 0.853 0.139 0.791
O: 0.750 0.528 0.500
O: 0.301 0.603 0.991
O: 0.103 0.609 0.213
O: 0.653 0.643 0.293
O: 0.937 0.641 0.779
Cu: 0.886 0.986 0.204
Cu: 0.615 0.282 0.797
Cu: 0.385 0.718 0.203
Cu: 0.114 0.014 0.796
Sr: 0.298 0.870 0.009
Sr: 0.201 0.359 0.991
Sr: 0.702 0.130 0.991
Sr: 0.799 0.641 0.009
Fe: 0.190 0.520 0.809
Fe: 0.689 0.789 0.809
Fe: 0.810 0.480 0.191
Fe: 0.311 0.211 0.191

[7]
Sr2Y4Fe2Cu2O13: optimized geometry, PBE+U.

Computed properties:
Distance to the lowest polymorph of the same formula, meV per atom: 0
V, Å³ per atom: 13.2
MP2020-corrected energy, eV per atom: -7.967
Crystal system: monoclinic

a = 11.873 Å, b = 11.873 Å, c = 10.799 Å
α = 63.50°, β = 63.50°, γ = 26.57°
Element x y z (fractional)
O: 0.250 0.750 0.528
O: 0.434 0.851 0.853
O: 0.750 0.250 0.472
O: 0.348 0.861 0.649
O: 0.896 0.393 0.606
O: 0.393 0.896 0.106
O: 0.063 0.656 0.140
O: 0.250 0.750 0.972
O: 0.607 0.104 0.894
O: 0.750 0.250 0.028
O: 0.656 0.063 0.640
O: 0.698 0.810 0.387
O: 0.302 0.190 0.613
O: 0.861 0.348 0.149
O: 0.149 0.566 0.647
O: 0.344 0.937 0.360
O: 0.566 0.149 0.147
O: 0.750 0.250 0.750
O: 0.937 0.344 0.860
O: 0.139 0.652 0.851
O: 0.851 0.434 0.353
O: 0.652 0.139 0.351
O: 0.810 0.698 0.887
O: 0.190 0.302 0.113
O: 0.104 0.607 0.394
O: 0.250 0.750 0.250
Y: 0.978 0.890 0.454
Y: 0.606 0.525 0.824
Y: 0.022 0.110 0.546
Y: 0.525 0.606 0.324
Y: 0.475 0.394 0.676
Y: 0.890 0.978 0.954
Y: 0.394 0.475 0.176
Y: 0.110 0.022 0.046
Sr: 0.293 0.207 0.866
Sr: 0.793 0.707 0.634
Sr: 0.707 0.793 0.134
Sr: 0.207 0.293 0.366
Cu: 0.319 0.386 0.014
Cu: 0.614 0.681 0.486
Cu: 0.681 0.614 0.986
Cu: 0.386 0.319 0.514
Fe: 0.121 0.190 0.210
Fe: 0.879 0.810 0.790
Fe: 0.810 0.879 0.290
Fe: 0.190 0.121 0.710

[8]
Sr2YFeCu2O7: optimized geometry, PBE+U.

Computed properties:
Distance to the lowest polymorph of the same formula, meV per atom: 0
V, Å³ per atom: 13.4
MP2020-corrected energy, eV per atom: -7.057
Crystal system: orthorhombic

a = 12.287 Å, b = 12.287 Å, c = 12.287 Å
α = 154.48°, β = 154.02°, γ = 36.74°
Element x y z (fractional)
O: 0.359 0.635 0.494
O: 0.308 0.791 0.973
O: 0.641 0.135 0.276
O: 0.281 0.286 0.917
O: 0.818 0.301 0.996
O: 0.869 0.786 0.005
O: 0.131 0.137 0.917
O: 0.719 0.637 0.005
O: 0.195 0.678 0.996
O: 0.319 0.291 0.483
O: 0.692 0.664 0.483
O: 0.681 0.164 0.973
O: 0.182 0.178 0.483
O: 0.805 0.801 0.483
Fe: 0.316 0.276 0.092
Fe: 0.684 0.776 0.960
Y: 0.000 0.485 0.485
Y: 0.500 0.985 0.485
Cu: 0.570 0.554 0.982
Cu: 0.928 0.913 0.982
Cu: 0.072 0.054 0.985
Cu: 0.430 0.413 0.985
Sr: 0.865 0.337 0.504
Sr: 0.667 0.139 0.504
Sr: 0.135 0.639 0.472
Sr: 0.333 0.837 0.472

[9]
TbFe4Cu3O12: optimized geometry, PBE+U.

Computed properties:
V, Å³ per atom: 10.4
MP2020-corrected energy, eV per atom: -7.158
Crystal system: cubic

a = 6.457 Å, b = 6.457 Å, c = 6.457 Å
α = 109.47°, β = 109.47°, γ = 109.47°
Element x y z (fractional)
O: 0.692 0.835 0.527
O: 0.692 0.165 0.857
O: 0.835 0.527 0.692
O: 0.835 0.143 0.308
O: 0.165 0.473 0.308
O: 0.308 0.835 0.143
O: 0.308 0.165 0.473
O: 0.143 0.308 0.835
O: 0.527 0.692 0.835
O: 0.473 0.308 0.165
O: 0.857 0.692 0.165
O: 0.165 0.857 0.692
Cu: 0.000 0.500 0.500
Cu: 0.500 0.500 0.000
Cu: 0.500 0.000 0.500
Fe: 0.000 0.000 0.500
Fe: 0.500 0.000 0.000
Fe: 0.500 0.500 0.500
Fe: 0.000 0.500 0.000
Tb: 0.000 0.000 0.000

[10]
VFe3Cu4O8: optimized geometry, PBE+U.

Computed properties:
V, Å³ per atom: 11.8
MP2020-corrected energy, eV per atom: -7.105
Crystal system: trigonal

a = 3.073 Å, b = 3.073 Å, c = 23.162 Å
α = 86.20°, β = 86.20°, γ = 60.00°
Element x y z (fractional)
O: 0.027 0.027 0.920
O: 0.777 0.777 0.670
O: 0.723 0.723 0.830
O: 0.277 0.277 0.170
O: 0.527 0.527 0.420
O: 0.973 0.973 0.080
O: 0.223 0.223 0.330
O: 0.473 0.473 0.580
Fe: 0.375 0.375 0.875
Fe: 0.875 0.875 0.375
Fe: 0.125 0.125 0.625
V: 0.625 0.625 0.125
Cu: 0.500 0.500 0.500
Cu: 0.000 0.000 0.000
Cu: 0.750 0.750 0.750
Cu: 0.250 0.250 0.250

[11]
V6Fe4Cu3O24: optimized geometry, PBE+U.

Computed properties:
V, Å³ per atom: 13.0
MP2020-corrected energy, eV per atom: -7.859
Crystal system: triclinic

a = 6.666 Å, b = 8.156 Å, c = 9.954 Å
α = 106.78°, β = 103.04°, γ = 102.48°
Element x y z (fractional)
O: 0.920 0.939 0.852
O: 0.241 0.795 0.973
O: 0.438 0.853 0.759
O: 0.996 0.284 0.834
O: 0.665 0.775 0.012
O: 0.135 0.325 0.424
O: 0.175 0.436 0.177
O: 0.004 0.716 0.166
O: 0.693 0.489 0.233
O: 0.124 0.017 0.649
O: 0.876 0.983 0.351
O: 0.667 0.961 0.572
O: 0.825 0.564 0.823
O: 0.865 0.675 0.576
O: 0.474 0.771 0.265
O: 0.526 0.229 0.735
O: 0.799 0.310 0.551
O: 0.201 0.690 0.449
O: 0.759 0.205 0.027
O: 0.562 0.147 0.241
O: 0.335 0.225 0.988
O: 0.333 0.039 0.428
O: 0.307 0.511 0.767
O: 0.080 0.061 0.148
Cu: 0.717 0.710 0.201
Cu: 0.283 0.290 0.799
Cu: 0.000 0.500 0.500
V: 0.113 0.108 0.339
V: 0.216 0.655 0.266
V: 0.784 0.345 0.734
V: 0.414 0.734 0.877
V: 0.887 0.892 0.661
V: 0.586 0.266 0.123
Fe: 0.378 0.949 0.607
Fe: 0.622 0.051 0.393
Fe: 0.961 0.800 0.990
Fe: 0.039 0.200 0.010

| no. | formation energy from the elements (eV per atom) | total moment (μB/cell) |
| --- | --- | --- |
| 1 | -2.3901 | 8.6 |
| 2 | -1.0270 | 36.4 |
| 3 | -1.2556 | 12.0 |
| 4 | -2.2965 | 3.1 |
| 5 | -2.2800 | 8.1 |
| 6 | -2.8008 | 20.0 |
| 7 | -2.8059 | 16.0 |
| 8 | -2.3536 | 9.9 |
| 9 | -1.6490 | 19.8 |
| 10 | -1.4503 | 17.0 |
| 11 | -1.9280 | 23.0 |